1.
Material: Nb4CuSe8
Method: DFT, meta-GGA r2SCAN
State: optimized geometry

```
Nb4CuSe8
1.0
1.7563 13.2919 0.0042
-1.7563 13.2919 0.0042
0.0000 1.3384 5.9207
Cu Se Nb
1 8 4
direct
0.0000 0.0000 0.0000 Cu
0.4392 0.4392 0.2356 Se
0.1893 0.1893 0.1450 Se
0.8107 0.8107 0.8550 Se
0.5608 0.5608 0.7644 Se
0.3141 0.3141 0.3543 Se
0.0580 0.0580 0.2798 Se
0.9420 0.9420 0.7202 Se
0.6859 0.6859 0.6457 Se
0.1238 0.1238 0.8886 Nb
0.6239 0.6239 0.3607 Nb
0.8762 0.8762 0.1114 Nb
0.3761 0.3761 0.6393 Nb
```

Summary:
- crystal system = monoclinic
- space group = C2/m, No. 12

=====

2.
Material: Nb5Cu4Si4
Method: DFT, meta-GGA r2SCAN
State: optimized geometry

```
Nb5Cu4Si4
1.0
3.4908 0.0000 0.8721
1.7454 7.2120 0.4359
-0.0026 0.0001 7.4330
Cu Si Nb
4 4 5
direct
0.6036 0.4770 0.3158 Cu
0.3964 0.5230 0.6842 Cu
0.9194 0.6842 0.4770 Cu
0.0806 0.3158 0.5230 Cu
0.4418 0.8042 0.3123 Si
0.7540 0.6877 0.8042 Si
0.5582 0.1958 0.6877 Si
0.2460 0.3123 0.1958 Si
0.1959 0.9341 0.6741 Nb
0.8041 0.0659 0.3259 Nb
0.1300 0.6741 0.0659 Nb
0.5000 0.0000 0.0000 Nb
0.8700 0.3259 0.9341 Nb
```

Summary:
- crystal system = tetragonal
- space group = I4/m, No. 87

=====

3.
Material: NdCu6
Method: DFT, meta-GGA r2SCAN
State: optimized geometry

```
NdCu6
1.0
5.0530 -0.0026 0.0000
-0.1672 7.9930 0.0000
0.0000 0.0000 10.0267
Cu Nd
24 4
direct
0.2485 0.3183 0.7447 Cu
0.2291 0.5642 0.5973 Cu
0.4983 0.9333 0.3071 Cu
0.2485 0.8183 0.7553 Cu
0.2507 0.4017 0.9838 Cu
0.7515 0.6817 0.2553 Cu
0.7493 0.0983 0.4838 Cu
0.7529 0.3510 0.6434 Cu
0.2471 0.6490 0.3566 Cu
0.2471 0.1490 0.1434 Cu
0.2291 0.0642 0.9027 Cu
0.2507 0.9017 0.5162 Cu
0.0078 0.9359 0.3109 Cu
0.9922 0.5641 0.8109 Cu
0.0078 0.4359 0.1891 Cu
0.7529 0.8510 0.8566 Cu
0.7493 0.5983 0.0162 Cu
0.7709 0.9358 0.0973 Cu
0.4983 0.4333 0.1929 Cu
0.7709 0.4358 0.4027 Cu
0.9922 0.0641 0.6891 Cu
0.5017 0.0667 0.6929 Cu
0.7515 0.1817 0.2447 Cu
0.5017 0.5667 0.8071 Cu
0.7419 0.2390 0.9367 Nd
0.7419 0.7390 0.5633 Nd
0.2581 0.2610 0.4367 Nd
0.2581 0.7610 0.0633 Nd
```

Summary:
- crystal system = monoclinic
- space group = P2_1/c, No. 14

=====

4.
Material: NdCu6
Method: DFT, meta-GGA r2SCAN
State: optimized geometry

```
NdCu6
1.0
-4.5392 -1.3438 1.7636
3.3962 -2.6129 6.7502
-1.1084 9.0973 4.0791
Nd Cu
4 24
direct
0.2500 0.2610 0.5635 Nd
0.7500 0.2390 0.0634 Nd
0.7500 0.7390 0.4366 Nd
0.2500 0.7610 0.9365 Nd
0.7500 0.9355 0.9020 Cu
0.2500 0.5645 0.4021 Cu
0.2500 0.4022 0.0165 Cu
0.0045 0.4337 0.8097 Cu
0.2500 0.9022 0.4835 Cu
0.7500 0.1809 0.7551 Cu
0.9955 0.0663 0.3099 Cu
0.9955 0.5663 0.1902 Cu
0.2500 0.8191 0.2449 Cu
0.7500 0.3514 0.3571 Cu
0.7500 0.8514 0.1429 Cu
0.4955 0.4337 0.8097 Cu
0.5045 0.5663 0.1902 Cu
0.2500 0.6486 0.6429 Cu
0.7500 0.6809 0.7448 Cu
0.4955 0.9337 0.6902 Cu
0.5045 0.0663 0.3099 Cu
0.2500 0.1486 0.8570 Cu
0.2500 0.0645 0.0979 Cu
0.2500 0.3191 0.2552 Cu
0.7500 0.0978 0.5165 Cu
0.7500 0.5978 0.9835 Cu
0.0045 0.9337 0.6902 Cu
0.7500 0.4355 0.5979 Cu
```

Summary:
- crystal system = orthorhombic
- space group = Pnma, No. 62

=====

5.
Material: NdCuO2
Method: DFT, meta-GGA r2SCAN
State: optimized geometry

```
NdCuO2
1.0
3.5434 -0.0132 4.9288
1.5783 3.1725 4.9288
-0.0213 -0.0132 6.0702
Cu O Nd
1 2 1
direct
0.0000 0.0000 0.0000 Cu
0.8941 0.8941 0.8941 O
0.1059 0.1059 0.1059 O
0.5000 0.5000 0.5000 Nd
```

Summary:
- crystal system = trigonal
- space group = R-3m, No. 166

=====

6.
Material: Nd2CuO4
Method: DFT, meta-GGA r2SCAN
State: optimized geometry

```
Nd2CuO4
1.0
3.7698 0.0000 -1.1617
-0.3580 3.7528 -1.1617
0.0108 0.0119 6.7326
O Nd Cu
4 2 1
direct
0.7500 0.2500 0.5000 O
0.0000 0.5000 0.0000 O
0.2500 0.7500 0.5000 O
0.5000 0.0000 0.0000 O
0.6490 0.6490 0.2981 Nd
0.3510 0.3510 0.7019 Nd
0.0000 0.0000 0.0000 Cu
```

Summary:
- crystal system = tetragonal
- space group = I4/mmm, No. 139

=====

no.,DFT formation energy (eV per atom)
1,-0.892
2,-0.532
3,-0.128
4,-0.128
5,-2.469
6,-2.862